(1)
This record from Materials Project describes CaNiGe2 after structural relaxation. The functional is PBE.

abc: 8.924 8.924 4.079
angles: 90.00 90.00 152.57
Atoms (fractional coordinates):
Ca  0.109  0.891  0.750
Ca  0.891  0.109  0.250
Ni  0.322  0.678  0.750
Ni  0.678  0.322  0.250
Ge  0.250  0.750  0.250
Ge  0.457  0.543  0.750
Ge  0.543  0.457  0.250
Ge  0.750  0.250  0.750

* crystal system: orthorhombic
* volume: 18.71 A^3/atom
* E: -38.4 eV for the cell shown
* symmetry: Cmcm, No. 63
* ΔH_f (0 K): -0.54 eV per atom

(2)
This record from Materials Project describes RbF3 after structural relaxation. The functional is PBE.

abc: 5.919 5.919 5.415
angles: 90.00 90.00 117.14
Atoms (fractional coordinates):
Rb  0.146  0.854  0.750
Rb  0.854  0.146  0.250
F  0.124  0.355  0.750
F  0.245  0.755  0.250
F  0.355  0.124  0.250
F  0.645  0.876  0.750
F  0.755  0.245  0.750
F  0.876  0.645  0.250

* crystal system: orthorhombic
* volume: 21.11 A^3/atom
* E: -24.0 eV for the cell shown
* symmetry: Cmcm, No. 63
* ΔH_f (0 K): -1.67 eV per atom